(1)
The following is a GGA-PBE calculation of a relaxed Na11Zr8Si7P5O48 crystal, from Materials Project.

Properties
crystal system: triclinic
total magnetization: 0.00 μB/cell
ΔE to the lowest computed polymorph: 0.27 eV per formula unit
calculated total energy: -7.5961 eV/atom

Cell and atoms, written as POSCAR:
```
Na11Zr8Si7P5O48
1.0
9.147 0.000 0.000
-4.548 7.952 0.000
-0.063 -5.213 15.353
Na Zr Si P O
11 8 7 5 48
direct
0.000 0.000 0.000 Na
0.013 0.726 0.101 Na
0.109 0.340 0.433 Na
0.232 0.248 0.831 Na
0.254 0.856 0.706 Na
0.284 0.648 0.965 Na
0.507 0.969 0.516 Na
0.599 0.328 0.929 Na
0.729 0.250 0.327 Na
0.748 0.857 0.211 Na
0.771 0.649 0.469 Na
0.078 0.895 0.308 Zr
0.188 0.099 0.617 Zr
0.336 0.397 0.065 Zr
0.434 0.592 0.364 Zr
0.579 0.893 0.805 Zr
0.688 0.102 0.119 Zr
0.828 0.393 0.562 Zr
0.932 0.597 0.866 Zr
0.083 0.196 0.213 Si
0.131 0.709 0.466 Si
0.342 0.994 0.960 Si
0.581 0.203 0.716 Si
0.633 0.710 0.967 Si
0.680 0.498 0.221 Si
0.845 0.999 0.458 Si
0.172 0.494 0.721 P
0.379 0.781 0.207 P
0.426 0.285 0.462 P
0.885 0.786 0.709 P
0.924 0.288 0.962 P
0.042 0.961 0.706 O
0.049 0.484 0.650 O
0.058 0.761 0.394 O
0.066 0.007 0.210 O
0.104 0.308 0.963 O
0.108 0.522 0.810 O
0.149 0.825 0.954 O
0.157 0.243 0.126 O
0.179 0.325 0.700 O
0.208 0.877 0.559 O
0.213 0.359 0.300 O
0.230 0.810 0.228 O
0.287 0.676 0.439 O
0.311 0.125 0.381 O
0.321 0.635 0.116 O
0.330 0.175 0.981 O
0.348 0.659 0.728 O
0.352 0.248 0.545 O
0.390 0.179 0.716 O
0.419 0.978 0.868 O
0.434 0.456 0.457 O
0.436 0.723 0.276 O
0.469 0.004 0.035 O
0.469 0.522 0.971 O
0.540 0.955 0.205 O
0.548 0.486 0.145 O
0.562 0.016 0.718 O
0.572 0.766 0.893 O
0.609 0.314 0.467 O
0.616 0.536 0.315 O
0.653 0.831 0.447 O
0.657 0.244 0.628 O
0.684 0.316 0.199 O
0.710 0.875 0.059 O
0.711 0.369 0.802 O
0.737 0.812 0.736 O
0.794 0.678 0.946 O
0.803 0.134 0.880 O
0.829 0.638 0.621 O
0.838 0.182 0.483 O
0.852 0.249 0.044 O
0.865 0.670 0.221 O
0.891 0.169 0.214 O
0.930 0.994 0.368 O
0.941 0.466 0.962 O
0.950 0.734 0.779 O
0.970 0.525 0.475 O
0.971 0.009 0.534 O
```

***

(2)
The following is a GGA-PBE calculation of a relaxed Na17Zr12Si11P7O72 crystal, from Materials Project.

Properties
crystal system: triclinic
total magnetization: 0.00 μB/cell
calculated total energy: -7.5789 eV/atom

Cell and atoms, written as POSCAR:
```
Na17Zr12Si11P7O72
1.0
9.195 0.000 0.000
-4.572 8.153 0.000
-0.050 -0.472 22.706
Na Zr Si P O
17 12 11 7 72
direct
0.000 0.000 0.000 Na
0.011 0.544 0.781 Na
0.104 0.417 0.238 Na
0.123 0.867 0.379 Na
0.204 0.127 0.577 Na
0.297 0.338 0.831 Na
0.336 0.674 0.666 Na
0.396 0.457 0.048 Na
0.436 0.179 0.949 Na
0.522 0.774 0.257 Na
0.637 0.042 0.494 Na
0.665 0.328 0.340 Na
0.686 0.874 0.114 Na
0.723 0.124 0.716 Na
0.765 0.844 0.618 Na
0.857 0.445 0.918 Na
0.963 0.685 0.168 Na
0.214 0.803 0.513 Zr
0.232 0.824 0.009 Zr
0.271 0.921 0.752 Zr
0.283 0.934 0.244 Zr
0.543 0.467 0.179 Zr
0.566 0.489 0.678 Zr
0.598 0.580 0.418 Zr
0.615 0.607 0.912 Zr
0.880 0.136 0.844 Zr
0.895 0.157 0.346 Zr
0.939 0.255 0.084 Zr
0.951 0.279 0.580 Zr
0.042 0.868 0.878 Si
0.218 0.100 0.113 Si
0.282 0.639 0.141 Si
0.320 0.304 0.306 Si
0.373 0.537 0.548 Si
0.550 0.768 0.781 Si
0.612 0.306 0.810 Si
0.651 0.973 0.974 Si
0.703 0.195 0.213 Si
0.889 0.442 0.450 Si
0.986 0.645 0.641 Si
0.125 0.207 0.711 P
0.176 0.435 0.949 P
0.463 0.876 0.378 P
0.512 0.100 0.617 P
0.795 0.545 0.045 P
0.841 0.769 0.286 P
0.935 0.963 0.476 P
0.021 0.801 0.273 O
0.022 0.031 0.865 O
0.048 0.112 0.103 O
0.049 0.247 0.766 O
0.054 0.622 0.459 O
0.071 0.761 0.584 O
0.072 0.362 0.892 O
0.097 0.951 0.483 O
0.100 0.323 0.003 O
0.105 0.720 0.699 O
0.109 0.813 0.820 O
0.125 0.452 0.131 O
0.133 0.276 0.318 O
0.158 0.062 0.722 O
0.166 0.918 0.935 O
0.185 0.603 0.961 O
0.193 0.981 0.169 O
0.194 0.371 0.561 O
0.239 0.703 0.203 O
0.248 0.030 0.051 O
0.292 0.362 0.697 O
0.297 0.749 0.084 O
0.314 0.128 0.295 O
0.341 0.694 0.542 O
0.343 0.842 0.325 O
0.351 0.449 0.940 O
0.379 0.284 0.125 O
0.380 0.780 0.770 O
0.380 0.898 0.435 O
0.383 0.417 0.247 O
0.406 0.031 0.560 O
0.436 0.987 0.670 O
0.447 0.505 0.487 O
0.450 0.396 0.360 O
0.451 0.126 0.796 O
0.459 0.635 0.148 O
0.471 0.964 0.982 O
0.497 0.580 0.605 O
0.500 0.733 0.382 O
0.526 0.650 0.837 O
0.527 0.269 0.631 O
0.528 0.026 0.223 O
0.574 0.373 0.873 O
0.579 0.695 0.719 O
0.629 0.039 0.371 O
0.629 0.790 0.964 O
0.636 0.424 0.755 O
0.663 0.493 0.994 O
0.673 0.354 0.205 O
0.686 0.112 0.607 O
0.711 0.952 0.792 O
0.723 0.582 0.102 O
0.724 0.459 0.439 O
0.732 0.688 0.229 O
0.742 0.088 0.917 O
0.771 0.050 0.032 O
0.777 0.659 0.340 O
0.778 0.796 0.467 O
0.788 0.164 0.154 O
0.789 0.301 0.817 O
0.803 0.628 0.650 O
0.826 0.239 0.270 O
0.833 0.403 0.054 O
0.837 0.931 0.297 O
0.861 0.324 0.507 O
0.861 0.708 0.894 O
0.910 0.351 0.391 O
0.911 0.042 0.535 O
0.954 0.070 0.423 O
0.959 0.702 0.030 O
0.970 0.463 0.631 O
0.997 0.155 0.658 O
```

***

(3)
The following is a GGA-PBE calculation of a relaxed Na2Zr2SiP2O12 crystal, from Materials Project.

Properties
crystal system: monoclinic
total magnetization: 0.00 μB/cell
calculated total energy: -7.7284 eV/atom

Cell and atoms, written as POSCAR:
```
Na2Zr2SiP2O12
1.0
7.837 -4.546 0.000
7.837 4.546 0.000
-0.013 0.000 23.346
Na Zr Si P O
12 12 6 12 72
direct
0.000 0.000 0.000 Na
0.000 0.000 0.500 Na
0.002 0.636 0.250 Na
0.031 0.671 0.918 Na
0.332 0.337 0.333 Na
0.337 0.332 0.833 Na
0.338 0.971 0.584 Na
0.636 0.002 0.750 Na
0.662 0.672 0.167 Na
0.671 0.031 0.418 Na
0.672 0.662 0.667 Na
0.971 0.338 0.084 Na
0.002 0.998 0.148 Zr
0.004 0.010 0.852 Zr
0.010 0.004 0.352 Zr
0.331 0.343 0.481 Zr
0.333 0.335 0.685 Zr
0.335 0.333 0.185 Zr
0.343 0.331 0.981 Zr
0.662 0.672 0.814 Zr
0.668 0.677 0.019 Zr
0.672 0.662 0.314 Zr
0.677 0.668 0.519 Zr
0.998 0.002 0.648 Zr
0.002 0.294 0.249 Si
0.045 0.630 0.082 Si
0.294 0.002 0.749 Si
0.630 0.045 0.582 Si
0.668 0.965 0.915 Si
0.965 0.668 0.415 Si
0.004 0.710 0.751 P
0.044 0.337 0.583 P
0.295 0.713 0.250 P
0.336 0.627 0.584 P
0.337 0.044 0.083 P
0.378 0.669 0.917 P
0.379 0.959 0.417 P
0.627 0.336 0.084 P
0.669 0.378 0.417 P
0.710 0.004 0.251 P
0.713 0.295 0.750 P
0.959 0.379 0.917 P
0.023 0.818 0.089 O
0.028 0.794 0.805 O
0.030 0.175 0.305 O
0.034 0.171 0.590 O
0.128 0.365 0.637 O
0.132 0.508 0.139 O
0.136 0.367 0.923 O
0.151 0.499 0.423 O
0.159 0.305 0.530 O
0.159 0.539 0.025 O
0.163 0.534 0.743 O
0.169 0.322 0.244 O
0.171 0.034 0.090 O
0.175 0.030 0.805 O
0.178 0.793 0.303 O
0.179 0.809 0.589 O
0.197 0.826 0.910 O
0.200 0.979 0.411 O
0.208 0.823 0.196 O
0.209 0.975 0.691 O
0.305 0.159 0.030 O
0.307 0.544 0.530 O
0.308 0.535 0.243 O
0.322 0.169 0.744 O
0.352 0.512 0.922 O
0.361 0.517 0.637 O
0.365 0.128 0.137 O
0.367 0.136 0.423 O
0.459 0.851 0.472 O
0.462 0.695 0.970 O
0.471 0.695 0.257 O
0.487 0.837 0.755 O
0.489 0.640 0.863 O
0.493 0.651 0.577 O
0.493 0.865 0.077 O
0.493 0.875 0.364 O
0.499 0.151 0.923 O
0.508 0.132 0.639 O
0.512 0.352 0.422 O
0.517 0.361 0.137 O
0.534 0.163 0.243 O
0.535 0.308 0.743 O
0.539 0.159 0.525 O
0.544 0.307 0.030 O
0.636 0.860 0.577 O
0.640 0.489 0.363 O
0.643 0.873 0.858 O
0.651 0.493 0.077 O
0.695 0.462 0.470 O
0.695 0.471 0.757 O
0.696 0.841 0.257 O
0.703 0.838 0.971 O
0.793 0.178 0.803 O
0.794 0.028 0.305 O
0.809 0.179 0.089 O
0.818 0.023 0.589 O
0.823 0.208 0.696 O
0.826 0.197 0.410 O
0.827 0.970 0.198 O
0.837 0.487 0.255 O
0.838 0.703 0.471 O
0.841 0.696 0.757 O
0.845 0.971 0.910 O
0.851 0.459 0.972 O
0.860 0.636 0.077 O
0.865 0.493 0.577 O
0.873 0.643 0.358 O
0.875 0.493 0.864 O
0.970 0.827 0.698 O
0.971 0.845 0.410 O
0.975 0.209 0.191 O
0.979 0.200 0.911 O
```